No. 1
{"formula": "SrZn2Sb2", "functional": "r²SCAN", "state": "optimized geometry", "ef_ev_per_atom": -0.59, "space_group": "P-3m1", "dft_energy_ev_per_cell": -87.317, "lattice_angstrom": [[-3.634, 2.452, -1.073], [-0.371, -4.465, 0.544], [-1.517, 1.042, 7.518]], "species": ["Sr", "Zn", "Zn", "Sb", "Sb"], "frac_coords": [[0.000, 0.000, 0.000], [0.667, 0.333, 0.366], [0.333, 0.667, 0.634], [0.333, 0.667, 0.272], [0.667, 0.333, 0.728]]}

***

No. 2
{"formula": "Ta3Sb", "functional": "r²SCAN", "state": "optimized geometry", "ef_ev_per_atom": -0.15, "space_group": "Pm-3n", "dft_energy_ev_per_cell": -344.145, "lattice_angstrom": [[-1.123, 1.785, 4.835], [4.586, -1.913, 1.771], [2.353, 4.581, -1.145]], "species": ["Sb", "Sb", "Ta", "Ta", "Ta", "Ta", "Ta", "Ta"], "frac_coords": [[0.500, 0.500, 0.500], [0.000, 0.000, 0.000], [0.500, 0.750, 0.000], [0.000, 0.500, 0.250], [0.000, 0.500, 0.750], [0.250, 0.000, 0.500], [0.750, 0.000, 0.500], [0.500, 0.250, 0.000]]}

***

No. 3
{"formula": "TaSb2", "functional": "r²SCAN", "state": "optimized geometry", "ef_ev_per_atom": -0.17, "space_group": "C2/m", "dft_energy_ev_per_cell": -201.017, "lattice_angstrom": [[3.585, 0.002, 0.906], [1.638, 5.098, 1.077], [0.015, -0.014, 7.486]], "species": ["Sb", "Sb", "Sb", "Sb", "Ta", "Ta"], "frac_coords": [[0.405, 0.800, 0.390], [0.595, 0.200, 0.610], [0.852, 0.262, 0.035], [0.148, 0.738, 0.965], [0.849, 0.613, 0.689], [0.151, 0.387, 0.311]]}

***

No. 4
{"formula": "Ta5Sb4", "functional": "r²SCAN", "state": "optimized geometry", "ef_ev_per_atom": -0.19, "space_group": "P-1", "dft_energy_ev_per_cell": -347.514, "lattice_angstrom": [[-0.084, 2.568, 2.468], [1.768, -3.586, 6.366], [7.030, 2.656, 0.044]], "species": ["Ta", "Ta", "Ta", "Ta", "Ta", "Sb", "Sb", "Sb", "Sb"], "frac_coords": [[0.314, 0.315, 0.060], [0.686, 0.685, 0.940], [0.626, 0.061, 0.685], [0.374, 0.939, 0.315], [0.000, 0.000, 0.000], [0.294, 0.759, 0.652], [0.946, 0.348, 0.759], [0.706, 0.241, 0.348], [0.054, 0.652, 0.241]]}

***

No. 5
{"formula": "Tb4Sb3", "functional": "r²SCAN", "state": "optimized geometry", "ef_ev_per_atom": -1.18, "space_group": "I-43d", "dft_energy_ev_per_cell": -420.593, "lattice_angstrom": [[-4.560, -2.342, -6.114], [5.456, -5.612, 1.551], [-4.566, 1.123, 6.446]], "species": ["Tb", "Tb", "Tb", "Tb", "Tb", "Tb", "Tb", "Tb", "Sb", "Sb", "Sb", "Sb", "Sb", "Sb"], "frac_coords": [[0.143, 0.143, 0.143], [0.000, 0.357, 0.500], [0.857, 0.500, 0.000], [0.500, 0.000, 0.357], [0.357, 0.500, 0.000], [0.643, 0.643, 0.643], [0.500, 0.000, 0.857], [0.000, 0.857, 0.500], [0.250, 0.625, 0.375], [0.125, 0.750, 0.875], [0.625, 0.375, 0.250], [0.375, 0.250, 0.625], [0.875, 0.125, 0.750], [0.750, 0.875, 0.125]]}

***

No. 6
{"formula": "TbSb2", "functional": "r²SCAN", "state": "optimized geometry", "ef_ev_per_atom": -0.87, "space_group": "Cmce", "dft_energy_ev_per_cell": -341.000, "lattice_angstrom": [[0.832, 1.765, -3.845], [-3.806, -1.475, -1.390], [-7.893, 15.343, 5.333]], "species": ["Sb", "Sb", "Sb", "Sb", "Sb", "Sb", "Sb", "Sb", "Tb", "Tb", "Tb", "Tb"], "frac_coords": [[0.139, 0.139, 0.063], [0.376, 0.876, 0.750], [0.124, 0.624, 0.250], [0.624, 0.124, 0.250], [0.861, 0.861, 0.937], [0.876, 0.376, 0.750], [0.361, 0.361, 0.563], [0.639, 0.639, 0.437], [0.644, 0.644, 0.111], [0.856, 0.856, 0.611], [0.144, 0.144, 0.389], [0.356, 0.356, 0.889]]}

***

No. 7
{"formula": "Tb5Sb3", "functional": "r²SCAN", "state": "optimized geometry", "ef_ev_per_atom": -1.09, "space_group": "P6_3/mcm", "dft_energy_ev_per_cell": -483.911, "lattice_angstrom": [[9.002, 0.000, 0.000], [-4.501, 7.796, 0.000], [0.000, 0.000, 6.326]], "species": ["Sb", "Sb", "Sb", "Sb", "Sb", "Sb", "Tb", "Tb", "Tb", "Tb", "Tb", "Tb", "Tb", "Tb", "Tb", "Tb"], "frac_coords": [[0.387, 0.000, 0.750], [0.613, 0.613, 0.750], [0.000, 0.613, 0.250], [0.387, 0.387, 0.250], [0.613, 0.000, 0.250], [0.000, 0.387, 0.750], [0.000, 0.752, 0.750], [0.333, 0.667, 0.500], [0.248, 0.000, 0.250], [0.667, 0.333, 0.500], [0.333, 0.667, 0.000], [0.000, 0.248, 0.250], [0.752, 0.752, 0.250], [0.667, 0.333, 0.000], [0.752, 0.000, 0.750], [0.248, 0.248, 0.750]]}

***

No. 8
{"formula": "Tb2ZnSb4", "functional": "r²SCAN", "state": "optimized geometry", "ef_ev_per_atom": -0.79, "space_group": "P-4m2", "dft_energy_ev_per_cell": -179.712, "lattice_angstrom": [[-0.385, -4.213, 0.775], [4.220, -0.239, 0.793], [-1.704, 1.930, 9.645]], "species": ["Zn", "Tb", "Tb", "Sb", "Sb", "Sb", "Sb"], "frac_coords": [[0.500, 0.500, 0.500], [0.000, 0.500, 0.247], [0.500, 0.000, 0.753], [0.500, 0.500, 0.000], [0.000, 0.500, 0.656], [0.000, 0.000, 0.000], [0.500, 0.000, 0.344]]}